Below is an optimized crystal structure of BaP6H16N4O18, with properties calculated at the PBE level.

Properties
Calculated volume (Å³/cell): 998.0
DFT total energy (eV/atom): -6.185
Energy with MP2020 corrections (eV per cell): -581.41
ΔE_f (eV per atom): -1.77
Total magnetic moment (μB/atom): 0.000
Space-group type: P31c, No. 159

Cell: 11.233 11.233 9.133 Å, 90.00 90.00 120.00°
Atoms (fractional coordinates):
Ba1 0.333 0.667 0.000
Ba2 0.667 0.333 0.500
P1 0.007 0.455 0.271
P2 0.017 0.294 0.018
P3 0.277 0.983 0.018
P4 0.294 0.017 0.518
P5 0.448 0.993 0.271
P6 0.455 0.007 0.771
P7 0.545 0.552 0.271
P8 0.552 0.545 0.771
P9 0.706 0.723 0.018
P10 0.723 0.706 0.518
P11 0.983 0.277 0.518
P12 0.993 0.448 0.771
H1 0.037 0.838 0.657
H2 0.053 0.845 0.323
H3 0.073 0.745 0.197
H4 0.074 0.758 0.791
H5 0.155 0.208 0.323
H6 0.162 0.199 0.657
H7 0.199 0.162 0.157
H8 0.208 0.155 0.823
H9 0.240 0.589 0.482
H10 0.242 0.316 0.791
H11 0.255 0.328 0.197
H12 0.316 0.242 0.291
H13 0.328 0.255 0.697
H14 0.333 0.667 0.632
H15 0.349 0.760 0.482
H16 0.411 0.651 0.482
H17 0.589 0.240 0.982
H18 0.651 0.411 0.982
H19 0.667 0.333 0.132
H20 0.672 0.927 0.197
H21 0.684 0.926 0.791
H22 0.745 0.073 0.697
H23 0.758 0.074 0.291
H24 0.760 0.349 0.982
H25 0.792 0.947 0.323
H26 0.801 0.963 0.657
H27 0.838 0.037 0.157
H28 0.845 0.053 0.823
H29 0.926 0.684 0.291
H30 0.927 0.672 0.697
H31 0.947 0.792 0.823
H32 0.963 0.801 0.157
N1 0.004 0.770 0.242
N2 0.230 0.233 0.242
N3 0.233 0.230 0.742
N4 0.333 0.667 0.519
N5 0.667 0.333 0.019
N6 0.767 0.996 0.242
N7 0.770 0.004 0.742
N8 0.996 0.767 0.742
O1 0.015 0.333 0.685
O2 0.056 0.425 0.430
O3 0.064 0.206 0.493
O4 0.129 0.577 0.783
O5 0.129 0.584 0.215
O6 0.142 0.936 0.493
O7 0.169 0.372 0.990
O8 0.203 0.831 0.990
O9 0.206 0.064 0.993
O10 0.318 0.985 0.685
O11 0.333 0.015 0.185
O12 0.369 0.944 0.430
O13 0.372 0.169 0.490
O14 0.416 0.546 0.215
O15 0.423 0.552 0.783
O16 0.425 0.056 0.930
O17 0.448 0.871 0.783
O18 0.454 0.871 0.215
O19 0.546 0.416 0.715
O20 0.552 0.423 0.283
O21 0.575 0.631 0.430
O22 0.577 0.129 0.283
O23 0.584 0.129 0.715
O24 0.628 0.797 0.990
O25 0.631 0.575 0.930
O26 0.667 0.682 0.685
O27 0.682 0.667 0.185
O28 0.794 0.858 0.493
O29 0.797 0.628 0.490
O30 0.831 0.203 0.490
O31 0.858 0.794 0.993
O32 0.871 0.448 0.283
O33 0.871 0.454 0.715
O34 0.936 0.142 0.993
O35 0.944 0.369 0.930
O36 0.985 0.318 0.185

Below is an optimized crystal structure of BaNpH3O6, with properties calculated at the PBE level.

Properties
Calculated volume (Å³/cell): 298.7
DFT total energy (eV/atom): -7.050
Energy with MP2020 corrections (eV per cell): -163.35
ΔE_f (eV per atom): -2.45
Total magnetic moment (μB/atom): 0.000
Space-group type: P-1, No. 2

Cell: 6.905 7.083 7.445 Å, 89.43 65.50 66.55°
Atoms (fractional coordinates):
Ba1 0.208 0.459 0.168
Ba2 0.792 0.541 0.832
Np1 0.000 0.000 0.000
Np2 0.500 0.500 0.500
H1 0.270 0.952 0.561
H2 0.326 0.964 0.236
H3 0.484 0.044 0.295
H4 0.516 0.956 0.705
H5 0.674 0.036 0.764
H6 0.730 0.048 0.439
O1 0.079 0.232 0.976
O2 0.212 0.489 0.541
O3 0.243 0.844 0.078
O4 0.291 0.863 0.661
O5 0.321 0.072 0.324
O6 0.465 0.440 0.757
O7 0.535 0.560 0.243
O8 0.679 0.928 0.676
O9 0.709 0.137 0.339
O10 0.757 0.156 0.922
O11 0.788 0.511 0.459
O12 0.921 0.768 0.024

Below is an optimized crystal structure of BaH16O10, with properties calculated at the PBE level.

Properties
Calculated volume (Å³/cell): 491.4
DFT total energy (eV/atom): -5.032
Energy with MP2020 corrections (eV per cell): -285.46
ΔE_f (eV per atom): -1.37
Total magnetic moment (μB/atom): 0.000
Space-group type: Pc, No. 7
Polymorph energy (0 for the lowest one) (meV/atom): 25.7

Cell: 6.390 6.413 11.993 Å, 90.00 90.67 90.00°
Atoms (fractional coordinates):
Ba1 0.000 0.005 0.000
Ba2 0.000 0.995 0.500
H1 0.044 0.451 0.138
H2 0.044 0.549 0.638
H3 0.162 0.329 0.791
H4 0.162 0.671 0.291
H5 0.275 0.413 0.901
H6 0.275 0.587 0.401
H7 0.280 0.402 0.105
H8 0.280 0.598 0.605
H9 0.317 0.161 0.295
H10 0.317 0.839 0.795
H11 0.399 0.281 0.607
H12 0.399 0.719 0.107
H13 0.403 0.275 0.404
H14 0.403 0.725 0.904
H15 0.453 0.047 0.638
H16 0.453 0.953 0.138
H17 0.552 0.049 0.872
H18 0.552 0.951 0.372
H19 0.597 0.287 0.896
H20 0.597 0.713 0.396
H21 0.603 0.282 0.101
H22 0.603 0.718 0.601
H23 0.712 0.396 0.398
H24 0.712 0.604 0.898
H25 0.716 0.194 0.210
H26 0.716 0.806 0.710
H27 0.719 0.397 0.600
H28 0.719 0.603 0.100
H29 0.798 0.283 0.709
H30 0.798 0.717 0.209
H31 0.950 0.444 0.371
H32 0.950 0.556 0.871
O1 0.136 0.351 0.870
O2 0.136 0.649 0.370
O3 0.146 0.336 0.132
O4 0.146 0.664 0.632
O5 0.334 0.145 0.631
O6 0.334 0.855 0.131
O7 0.347 0.135 0.374
O8 0.347 0.865 0.874
O9 0.488 0.494 0.439
O10 0.488 0.506 0.939
O11 0.502 0.495 0.062
O12 0.502 0.505 0.562
O13 0.664 0.149 0.136
O14 0.664 0.851 0.636
O15 0.667 0.153 0.873
O16 0.667 0.847 0.373
O17 0.846 0.329 0.374
O18 0.846 0.671 0.874
O19 0.849 0.331 0.636
O20 0.849 0.669 0.136

Below is an optimized crystal structure of BaH16O10, with properties calculated at the PBE level.

Properties
Calculated volume (Å³/cell): 495.0
DFT total energy (eV/atom): -5.005
Energy with MP2020 corrections (eV per cell): -284.02
ΔE_f (eV per atom): -1.35
Total magnetic moment (μB/atom): 0.000
Space-group type: P1, No. 1
Polymorph energy (0 for the lowest one) (meV/atom): 52.3

Cell: 6.636 6.637 11.261 Å, 90.10 91.73 93.07°
Atoms (fractional coordinates):
Ba1 0.000 0.000 0.000
Ba2 0.008 0.012 0.500
H1 0.044 0.550 0.622
H2 0.049 0.587 0.350
H3 0.103 0.325 0.777
H4 0.162 0.296 0.217
H5 0.188 0.724 0.702
H6 0.210 0.738 0.284
H7 0.242 0.408 0.103
H8 0.255 0.416 0.878
H9 0.345 0.585 0.547
H10 0.364 0.093 0.306
H11 0.366 0.738 0.879
H12 0.367 0.746 0.108
H13 0.374 0.320 0.368
H14 0.401 0.967 0.840
H15 0.403 0.286 0.601
H16 0.458 0.974 0.123
H17 0.459 0.070 0.646
H18 0.593 0.703 0.373
H19 0.603 0.773 0.584
H20 0.606 0.232 0.115
H21 0.609 0.908 0.297
H22 0.611 0.570 0.072
H23 0.618 0.121 0.957
H24 0.629 0.253 0.838
H25 0.698 0.622 0.876
H26 0.710 0.827 0.707
H27 0.737 0.404 0.371
H28 0.782 0.407 0.625
H29 0.816 0.699 0.218
H30 0.899 0.391 0.472
H31 0.926 0.572 0.850
H32 0.930 0.539 0.144
O1 0.112 0.726 0.347
O2 0.113 0.356 0.863
O3 0.117 0.350 0.138
O4 0.151 0.681 0.621
O5 0.279 0.195 0.337
O6 0.291 0.861 0.849
O7 0.329 0.874 0.145
O8 0.345 0.159 0.636
O9 0.469 0.527 0.043
O10 0.474 0.538 0.912
O11 0.479 0.522 0.534
O12 0.494 0.497 0.404
O13 0.632 0.094 0.094
O14 0.645 0.116 0.866
O15 0.666 0.887 0.631
O16 0.682 0.832 0.357
O17 0.833 0.649 0.137
O18 0.834 0.684 0.852
O19 0.881 0.372 0.381
O20 0.921 0.374 0.609

Below is an optimized crystal structure of BaH18O10, with properties calculated at the PBE level.

Properties
Calculated volume (Å³/cell): 1296.2
DFT total energy (eV/atom): -4.496
Energy with MP2020 corrections (eV per cell): -549.04
ΔE_f (eV per atom): -0.85
Total magnetic moment (μB/atom): 0.069
Space-group type: P2_1/c, No. 14
Polymorph energy (0 for the lowest one) (meV/atom): 0.0

Cell: 9.307 10.225 15.709 Å, 90.00 119.88 90.00°
Atoms (fractional coordinates):
Ba1 0.241 0.201 0.218
Ba2 0.241 0.299 0.718
Ba3 0.759 0.701 0.282
Ba4 0.759 0.799 0.782
H1 0.029 0.612 0.089
H2 0.029 0.888 0.589
H3 0.052 0.044 0.829
H4 0.052 0.456 0.329
H5 0.055 0.597 0.142
H6 0.055 0.903 0.642
H7 0.062 0.597 0.930
H8 0.062 0.903 0.430
H9 0.102 0.228 0.381
H10 0.102 0.272 0.881
H11 0.103 0.588 0.304
H12 0.103 0.912 0.804
H13 0.139 0.671 0.616
H14 0.139 0.829 0.116
H15 0.195 0.657 0.670
H16 0.195 0.843 0.170
H17 0.202 0.641 0.498
H18 0.202 0.859 0.998
H19 0.224 0.508 0.874
H20 0.224 0.992 0.374
H21 0.266 0.203 0.950
H22 0.266 0.297 0.450
H23 0.300 0.001 0.424
H24 0.300 0.499 0.924
H25 0.318 0.636 0.422
H26 0.318 0.736 0.865
H27 0.318 0.764 0.365
H28 0.318 0.864 0.922
H29 0.320 0.651 0.072
H30 0.320 0.849 0.572
H31 0.350 0.581 0.083
H32 0.350 0.919 0.583
H33 0.378 0.580 0.578
H34 0.378 0.920 0.078
H35 0.496 0.680 0.376
H36 0.496 0.820 0.876
H37 0.504 0.180 0.124
H38 0.504 0.320 0.624
H39 0.622 0.080 0.922
H40 0.622 0.420 0.422
H41 0.650 0.081 0.417
H42 0.650 0.419 0.917
H43 0.680 0.151 0.428
H44 0.680 0.349 0.928
H45 0.682 0.136 0.078
H46 0.682 0.236 0.635
H47 0.682 0.264 0.135
H48 0.682 0.364 0.578
H49 0.700 0.501 0.076
H50 0.700 0.999 0.576
H51 0.734 0.703 0.550
H52 0.734 0.797 0.050
H53 0.776 0.008 0.626
H54 0.776 0.492 0.126
H55 0.798 0.141 0.002
H56 0.798 0.359 0.502
H57 0.805 0.157 0.830
H58 0.805 0.343 0.330
H59 0.861 0.171 0.884
H60 0.861 0.329 0.384
H61 0.897 0.088 0.196
H62 0.897 0.412 0.696
H63 0.898 0.728 0.119
H64 0.898 0.772 0.619
H65 0.938 0.097 0.570
H66 0.938 0.403 0.070
H67 0.945 0.097 0.358
H68 0.945 0.403 0.858
H69 0.948 0.544 0.671
H70 0.948 0.956 0.171
H71 0.971 0.112 0.411
H72 0.971 0.388 0.911
O1 0.004 0.532 0.285
O2 0.004 0.968 0.785
O3 0.020 0.718 0.442
O4 0.020 0.782 0.942
O5 0.029 0.142 0.568
O6 0.029 0.358 0.068
O7 0.184 0.214 0.880
O8 0.184 0.286 0.380
O9 0.294 0.580 0.508
O10 0.294 0.920 0.008
O11 0.301 0.669 0.356
O12 0.301 0.831 0.856
O13 0.401 0.235 0.102
O14 0.401 0.265 0.602
O15 0.457 0.526 0.755
O16 0.457 0.974 0.255
O17 0.460 0.141 0.593
O18 0.460 0.359 0.093
O19 0.475 0.082 0.790
O20 0.475 0.418 0.290
O21 0.525 0.582 0.710
O22 0.525 0.918 0.210
O23 0.540 0.641 0.907
O24 0.540 0.859 0.407
O25 0.543 0.026 0.745
O26 0.543 0.474 0.245
O27 0.599 0.735 0.398
O28 0.599 0.765 0.898
O29 0.699 0.169 0.144
O30 0.699 0.331 0.644
O31 0.706 0.080 0.992
O32 0.706 0.420 0.492
O33 0.816 0.714 0.620
O34 0.816 0.786 0.120
O35 0.971 0.642 0.932
O36 0.971 0.858 0.432
O37 0.980 0.218 0.058
O38 0.980 0.282 0.558
O39 0.996 0.032 0.215
O40 0.996 0.468 0.715

Below is an optimized crystal structure of BaH16O10, with properties calculated at the PBE level.

Properties
Calculated volume (Å³/cell): 503.6
DFT total energy (eV/atom): -5.018
Energy with MP2020 corrections (eV per cell): -284.69
ΔE_f (eV per atom): -1.36
Total magnetic moment (μB/atom): 0.000
Space-group type: P1, No. 1
Polymorph energy (0 for the lowest one) (meV/atom): 39.8

Cell: 6.574 6.721 11.433 Å, 90.96 90.52 94.33°
Atoms (fractional coordinates):
Ba1 0.000 0.000 0.000
Ba2 0.015 0.025 0.504
H1 0.047 0.569 0.370
H2 0.067 0.612 0.649
H3 0.103 0.374 0.231
H4 0.214 0.267 0.781
H5 0.255 0.813 0.230
H6 0.261 0.789 0.796
H7 0.269 0.659 0.400
H8 0.283 0.382 0.898
H9 0.298 0.414 0.141
H10 0.302 0.655 0.624
H11 0.320 0.202 0.289
H12 0.404 0.326 0.620
H13 0.407 0.946 0.145
H14 0.423 0.651 0.948
H15 0.445 0.926 0.860
H16 0.446 0.099 0.645
H17 0.459 0.400 0.429
H18 0.481 0.075 0.358
H19 0.580 0.267 0.089
H20 0.599 0.092 0.997
H21 0.606 0.769 0.393
H22 0.619 0.790 0.628
H23 0.641 0.184 0.833
H24 0.683 0.639 0.126
H25 0.683 0.959 0.729
H26 0.712 0.851 0.280
H27 0.748 0.462 0.613
H28 0.752 0.577 0.906
H29 0.802 0.368 0.355
H30 0.909 0.663 0.190
H31 0.910 0.418 0.518
H32 0.973 0.518 0.869
O1 0.141 0.704 0.367
O2 0.161 0.311 0.858
O3 0.179 0.722 0.653
O4 0.186 0.315 0.170
O5 0.274 0.866 0.151
O6 0.314 0.837 0.874
O7 0.336 0.193 0.645
O8 0.376 0.173 0.369
O9 0.494 0.524 0.958
O10 0.494 0.543 0.454
O11 0.504 0.541 0.584
O12 0.519 0.500 0.086
O13 0.607 0.121 0.084
O14 0.662 0.049 0.857
O15 0.665 0.896 0.359
O16 0.675 0.930 0.640
O17 0.801 0.742 0.162
O18 0.890 0.419 0.606
O19 0.893 0.631 0.889
O20 0.944 0.364 0.379